First-principles (PBE-GGA) data for an optimized crystal structure of LuFe4Ge2, as listed in the Materials Project.

a = 7.176 Å, b = 7.176 Å, c = 3.858 Å
α = 90.00°, β = 90.00°, γ = 90.00°
Space group P4_2/mnm (No. 136)
Symmetry-distinct sites (fractional):
Lu  0.000  0.000  0.000 (multiplicity 2)
Fe  0.091  0.355  0.500 (multiplicity 8)
Ge  0.216  0.784  0.500 (multiplicity 4)

Values from the calculation:
DFT formation energy (eV per formula unit): -2.1
Magnetic moment (μB/cell): 11.602
ΔE to the lowest computed polymorph (eV per formula unit): 0.02